1.
Here is a relaxed structure of Eu2AlP3Pt7 from the Materials Project database. Energies are from PBE.

## Properties
M_tot ... 13.49 μB per formula unit
Formation enthalpy at 0 K ... -0.932 eV/atom

a b c (Å): 13.8897 13.8897 13.8897
angles (deg): 163.10 163.10 23.99
Closest atoms and distances in Å follow each position.
Sites, in units of the cell vectors:
1 Eu 0.1654 0.1654 0.0000  6 P 3.07-3.14, 8 Pt 3.10-3.30
2 Eu 0.8346 0.8346 0.0000  6 P 3.07-3.14, 8 Pt 3.10-3.30
3 Al 0.0000 0.0000 0.0000  12 Pt 2.79-2.89
4 P 0.2500 0.7500 0.5000  4 Pt 2.35
5 P 0.3800 0.3800 0.0000  5 Pt 2.37-2.45
6 P 0.6200 0.6200 0.0000  5 Pt 2.37-2.45
7 Pt 0.0701 0.5701 0.5000  2 P 2.45
8 Pt 0.2929 0.2929 0.0000  3 P 2.35-2.37
9 Pt 0.4299 0.9299 0.5000  2 P 2.45
10 Pt 0.5000 0.5000 0.0000  8 Pt 2.79-2.82, 4 Al 2.89
11 Pt 0.5715 0.0715 0.5000  2 P 2.43
12 Pt 0.7071 0.7071 0.0000  3 P 2.35-2.37
13 Pt 0.9285 0.4285 0.5000  2 P 2.43


2.
Here is a relaxed structure of EuAl2Se4 from the Materials Project database. Energies are from PBE.

## Properties
Formation enthalpy at 0 K ... -1.507 eV/atom

a b c (Å): 6.3071 6.3071 11.0345
angles (deg): 90.00 90.00 120.43
Closest atoms and distances in Å follow each position.
Sites, in units of the cell vectors:
1 Eu 0.0000 0.0000 0.2500  8 Se 3.25-3.28
2 Eu 0.0000 0.0000 0.7500  8 Se 3.25-3.28
3 Al 0.2587 0.7392 0.0000  4 Se 2.41-2.44
4 Al 0.2608 0.7413 0.5000  4 Se 2.41-2.44
5 Al 0.7392 0.2587 0.5000  4 Se 2.41-2.44
6 Al 0.7413 0.2608 0.0000  4 Se 2.41-2.44
7 Se 0.0000 0.5000 0.1680  2 Al 2.43
8 Se 0.0000 0.5000 0.8320  2 Al 2.43
9 Se 0.1525 0.3157 0.5000  2 Al 2.41-2.44
10 Se 0.3157 0.1525 0.0000  2 Al 2.41-2.44
11 Se 0.5000 0.0000 0.3320  2 Al 2.43
12 Se 0.5000 0.0000 0.6680  2 Al 2.43
13 Se 0.6843 0.8475 0.0000  2 Al 2.41-2.44
14 Se 0.8475 0.6843 0.5000  2 Al 2.41-2.44


3.
Here is a relaxed structure of EuAl2Si2 from the Materials Project database. Energies are from PBE.

## Properties
Formation enthalpy at 0 K ... -0.326 eV/atom

a b c (Å): 4.2010 4.2010 7.0586
angles (deg): 90.00 90.00 120.00
Closest atoms and distances in Å follow each position.
Sites, in units of the cell vectors:
1 Eu 0.0000 0.0000 0.0000  6 Si 3.07
2 Al 0.3333 0.6667 0.6325  4 Si 2.53-2.58
3 Al 0.6667 0.3333 0.3675  4 Si 2.53-2.58
4 Si 0.3333 0.6667 0.2665  4 Al 2.53-2.58
5 Si 0.6667 0.3333 0.7335  4 Al 2.53-2.58


4.
Here is a relaxed structure of EuAl3Si from the Materials Project database. Energies are from PBE.

## Properties
M_tot ... 7.04 μB per formula unit
Formation enthalpy at 0 K ... -0.278 eV/atom

a b c (Å): 4.3452 4.3452 10.8607
angles (deg): 90.00 90.00 90.00
Closest atoms and distances in Å follow each position.
Sites, in units of the cell vectors:
1 Eu 0.0000 0.0000 0.0000  4 Si 3.32, 12 Al 3.32-3.50
2 Eu 0.5000 0.5000 0.5000  4 Si 3.32, 12 Al 3.32-3.50
3 Al 0.0000 0.0000 0.6166  1 Si 2.52, 4 Al 2.63
4 Al 0.0000 0.5000 0.2530  2 Si 2.60, 2 Al 2.63
5 Al 0.0000 0.5000 0.7530  2 Si 2.60, 2 Al 2.63
6 Al 0.5000 0.0000 0.2530  2 Si 2.60, 2 Al 2.63
7 Al 0.5000 0.0000 0.7530  2 Si 2.60, 2 Al 2.63
8 Al 0.5000 0.5000 0.1166  1 Si 2.52, 4 Al 2.63
9 Si 0.0000 0.0000 0.3846  5 Al 2.52-2.60
10 Si 0.5000 0.5000 0.8846  5 Al 2.52-2.60


5.
Here is a relaxed structure of AlF3 from the Materials Project database. Energies are from PBE.

## Properties
M_tot ... 0.00 μB per formula unit
Formation enthalpy at 0 K ... -3.832 eV/atom

a b c (Å): 3.6379 5.2816 5.9007
angles (deg): 64.47 89.39 88.64
Closest atoms and distances in Å follow each position.
Sites, in units of the cell vectors:
1 Al 0.0000 0.0000 0.0000  6 F 1.80-1.85
2 Al 0.9996 0.2753 0.4634  6 F 1.80-1.85
3 F 0.9999 0.1389 0.2308  2 Al 1.80
4 F 0.9999 0.6381 0.2326  2 Al 1.81
5 F 0.0117 0.9184 0.7262  2 Al 1.84-1.85
6 F 0.4996 0.2809 0.4566  2 Al 1.82
7 F 0.5001 0.9937 0.0068  2 Al 1.82
8 F 0.9878 0.3566 0.7371  2 Al 1.84-1.85


6.
Here is a relaxed structure of AlF3 from the Materials Project database. Energies are from PBE.

## Properties
M_tot ... 0.00 μB per formula unit
Formation enthalpy at 0 K ... -3.672 eV/atom

a b c (Å): 10.5519 10.5836 11.2642
angles (deg): 91.42 93.23 94.84
Closest atoms and distances in Å follow each position.
Sites, in units of the cell vectors:
1 Al 0.0000 0.0000 0.0000  5 F 1.68-1.84
2 Al 0.0005 0.9423 0.3091  6 F 1.82-1.91
3 Al 0.0338 0.9311 0.6247  4 F 1.68-1.86
4 Al 0.0869 0.4402 0.8236  6 F 1.76-1.84
5 Al 0.0899 0.7130 0.8675  6 F 1.82-1.95
6 Al 0.1094 0.6231 0.2994  4 F 1.71-1.88
7 Al 0.2066 0.5090 0.5673  5 F 1.73-1.85
8 Al 0.2422 0.3532 0.2061  5 F 1.74-1.86
9 Al 0.2635 0.2005 0.9248  6 F 1.76-1.94
10 Al 0.2965 0.0569 0.6516  6 F 1.82-1.95
11 Al 0.3363 0.8869 0.3313  5 F 1.68-1.87
12 Al 0.3494 0.9116 0.9276  5 F 1.70-1.87
13 Al 0.4535 0.1972 0.4025  6 F 1.80-1.89
14 Al 0.4818 0.5154 0.5300  3 F 1.68-1.86
15 Al 0.4950 0.4290 0.0260  4 F 1.69-1.87
16 Al 0.6313 0.1050 0.6444  6 F 1.76-1.91
17 Al 0.6360 0.1552 0.1477  5 F 1.76-1.84
18 Al 0.6526 0.8528 0.2815  5 F 1.72-1.85
19 Al 0.6623 0.3948 0.7634  5 F 1.69-1.86
20 Al 0.6818 0.9274 0.8969  4 F 1.70-1.88
21 Al 0.7100 0.7994 0.5973  5 F 1.72-1.92
22 Al 0.7334 0.5577 0.2352  5 F 1.68-1.84
23 Al 0.8445 0.5243 0.9723  5 F 1.70-1.82
24 Al 0.8955 0.3271 0.5899  5 F 1.74-1.94
25 Al 0.9194 0.2967 0.2794  4 F 1.78-1.83
26 F 0.0052 0.9385 0.1478  2 Al 1.80-1.82
27 F 0.0157 0.7646 0.3203  2 Al 1.88-1.91
28 F 0.0302 0.5803 0.7497  2 Al 1.84-1.95
29 F 0.0517 0.4170 0.5438  2 Al 1.83-1.94
30 F 0.0605 0.8118 0.7400  2 Al 1.82-1.86
31 F 0.0675 0.3148 0.2099  2 Al 1.79-1.86
32 F 0.0732 0.8539 0.9615  2 Al 1.83-1.84
33 F 0.0885 0.6129 0.1475  1 Al 1.71
34 F 0.1305 0.0940 0.6415  2 Al 1.82-1.93
35 F 0.1378 0.0706 0.9257  2 Al 1.83
36 F 0.1432 0.3038 0.8869  2 Al 1.76-1.79
37 F 0.1490 0.6231 0.4717  2 Al 1.76-1.96
38 F 0.1620 0.5672 0.9215  2 Al 1.82-1.88
39 F 0.1784 0.9562 0.3197  2 Al 1.87
40 F 0.1975 0.9054 0.5849  2 Al 1.85-1.95
41 F 0.2143 0.4636 0.7187  2 Al 1.78-1.84
42 F 0.2242 0.4887 0.2963  2 Al 1.77-1.95
43 F 0.2344 0.2303 0.0913  2 Al 1.80-1.94
44 F 0.2536 0.7365 0.2987  2 Al 1.77-1.86
45 F 0.2604 0.7648 0.8766  2 Al 1.81-1.83
46 F 0.2871 0.9605 0.7853  2 Al 1.80-1.84
47 F 0.3088 0.4045 0.5140  1 Al 1.73
48 F 0.3100 0.1882 0.7680  2 Al 1.86-1.88
49 F 0.3253 0.2687 0.3144  2 Al 1.77-1.86
50 F 0.3275 0.8885 0.0742  1 Al 1.70
51 F 0.3362 0.1483 0.5175  2 Al 1.86-1.89
52 F 0.3589 0.6081 0.5939  2 Al 1.85-1.86
53 F 0.3646 0.3411 0.9404  2 Al 1.76-1.81
54 F 0.3659 0.4362 0.1370  2 Al 1.74-1.91
55 F 0.3745 0.0857 0.9641  2 Al 1.80-1.87
56 F 0.3900 0.8806 0.4743  1 Al 1.68
57 F 0.3987 0.0511 0.3138  2 Al 1.83-1.85
58 F 0.4656 0.0333 0.6646  2 Al 1.82-1.87
59 F 0.4792 0.8334 0.2692  2 Al 1.82
60 F 0.4851 0.5693 0.3909  1 Al 1.68
61 F 0.4869 0.5784 0.9796  1 Al 1.69
62 F 0.5038 0.8954 0.8836  2 Al 1.75-1.88
63 F 0.5180 0.3505 0.4689  2 Al 1.83-1.94
64 F 0.5407 0.2635 0.0767  2 Al 1.76-1.95
65 F 0.5422 0.4701 0.6742  2 Al 1.80-1.82
66 F 0.5699 0.2169 0.2834  2 Al 1.84-1.87
67 F 0.5719 0.3822 0.8894  2 Al 1.76-1.86
68 F 0.5758 0.1253 0.4878  2 Al 1.80-1.85
69 F 0.5793 0.2521 0.6878  2 Al 1.76-1.84
70 F 0.5967 0.4810 0.1622  2 Al 1.75-1.87
71 F 0.6122 0.6594 0.5831  1 Al 1.73
72 F 0.6310 0.0042 0.2213  2 Al 1.78-1.82
73 F 0.6548 0.0703 0.0139  1 Al 1.76
74 F 0.6630 0.7092 0.2097  2 Al 1.72-1.84
75 F 0.6642 0.8201 0.4320  2 Al 1.74-1.92
76 F 0.6733 0.0568 0.7938  2 Al 1.81-1.82
77 F 0.6839 0.9610 0.5919  2 Al 1.76-1.77
78 F 0.6874 0.8263 0.0113  1 Al 1.70
79 F 0.6942 0.8170 0.7604  2 Al 1.86-1.92
80 F 0.7464 0.5396 0.8380  2 Al 1.80-1.86
81 F 0.7660 0.3956 0.0313  1 Al 1.70
82 F 0.7698 0.5997 0.3788  1 Al 1.68
83 F 0.7805 0.3046 0.8075  1 Al 1.69
84 F 0.7824 0.4324 0.6171  1 Al 1.74
85 F 0.7913 0.1862 0.6049  2 Al 1.79-1.91
86 F 0.7936 0.4017 0.2571  2 Al 1.81-1.84
87 F 0.7975 0.1925 0.1957  2 Al 1.77-1.83
88 F 0.8246 0.9035 0.2883  2 Al 1.85-1.87
89 F 0.8324 0.6038 0.1161  2 Al 1.80-1.82
90 F 0.8579 0.9542 0.9156  2 Al 1.76-1.85
91 F 0.8697 0.7857 0.5859  1 Al 1.72
92 F 0.8878 0.2840 0.4327  2 Al 1.78-1.81
93 F 0.9223 0.9994 0.6992  1 Al 1.68
94 F 0.9376 0.6652 0.9301  2 Al 1.80-1.83
95 F 0.9613 0.1447 0.0423  1 Al 1.68
96 F 0.9670 0.4320 0.9308  2 Al 1.76-1.80
97 F 0.9855 0.1168 0.3094  1 Al 1.87
98 F 0.9919 0.9539 0.4695  2 Al 1.81-1.82
99 F 0.9926 0.3253 0.7214  2 Al 1.75-1.84
100 F 0.9946 0.4921 0.3264  1 Al 1.81


Number 1: final energy -7.32 eV/atom. Number 2: final energy -5.77 eV/atom. Number 3: final energy -6.07 eV/atom. Number 4: final energy -5.68 eV/atom. Number 5: final energy -5.86 eV/atom. Number 6: final energy -5.70 eV/atom.